## Li6FeCo9O20 (GGA+U)

Data for Li6FeCo9O20 after structural relaxation.

The structure in extended XYZ format:
```
36
Lattice="4.986 0.000 0.000 -2.377 7.290 0.000 -0.717 -1.354 9.696" Properties=species:S:1:pos:R:3 pbc="T T T"
Li -0.772 2.942 2.403
Li -2.283 5.894 7.286
Li -0.694 5.830 2.415
Li 2.585 0.106 7.280
Li 4.174 0.042 2.410
Li 2.663 2.994 7.292
Fe 0.946 2.968 4.848
Co -0.701 0.088 9.668
Co -1.523 4.413 4.848
Co -0.655 3.011 9.636
Co 0.899 0.068 4.842
Co 2.493 0.000 0.000
Co 0.992 5.868 4.853
Co 2.546 2.925 0.060
Co 3.414 1.523 4.848
Co 2.592 5.848 0.028
O -2.307 5.831 3.813
O -1.494 4.492 1.048
O -0.826 2.959 5.837
O 0.760 -0.030 1.015
O -0.033 1.515 3.789
O -1.559 4.415 8.667
O 0.803 2.884 0.919
O 0.016 4.420 3.787
O -0.692 5.831 5.889
O 0.917 -0.042 8.665
O 0.974 5.978 1.031
O 2.583 0.105 3.807
O 1.875 1.516 5.908
O 1.088 3.052 8.777
O 3.451 1.521 1.028
O 1.924 4.421 5.907
O 1.131 5.966 8.680
O 2.718 2.977 3.859
O 3.385 1.444 8.647
O 4.199 0.105 5.883
```

Summary:
Size of the total moment: 9.00 μB per cell
Space group: P-1 (2)
ΔH_f (0 K): -1.51 eV per atom

## LiMn8O16 (GGA+U)

Data for LiMn8O16 after structural relaxation.

The structure in extended XYZ format:
```
25
Lattice="5.865 0.000 0.000 0.000 5.865 0.000 0.000 0.000 8.260" Properties=species:S:1:pos:R:3 pbc="T T T"
Li 0.000 0.000 0.000
Mn 0.000 1.472 5.149
Mn 0.000 4.393 5.149
Mn 1.472 0.000 3.111
Mn 1.481 2.932 7.220
Mn 2.932 1.481 1.040
Mn 2.932 4.384 1.040
Mn 4.384 2.932 7.220
Mn 4.393 0.000 3.111
O 0.000 1.290 3.212
O 0.000 1.617 7.110
O 0.000 4.248 7.110
O 0.000 4.575 3.212
O 1.290 0.000 5.048
O 1.291 2.932 5.278
O 1.617 0.000 1.150
O 1.622 2.932 0.907
O 2.932 1.291 2.982
O 2.932 1.622 7.353
O 2.932 4.243 7.353
O 2.932 4.574 2.982
O 4.243 2.932 0.907
O 4.248 0.000 1.150
O 4.575 0.000 5.048
O 4.574 2.932 5.278
```

Summary:
Size of the total moment: 25.00 μB per cell
Space group: P-4m2 (115)
E above lowest polymorph: 25 meV per atom
ΔH_f (0 K): -1.84 eV per atom

## Li2TiMn3O8 (GGA+U)

Data for Li2TiMn3O8 after structural relaxation.

The structure in extended XYZ format:
```
56
Lattice="8.247 0.000 0.000 0.023 8.334 0.000 0.065 0.010 8.807" Properties=species:S:1:pos:R:3 pbc="T T T"
Li 0.000 0.000 0.000
Li 0.112 4.170 4.494
Li 2.090 2.054 2.233
Li 2.214 6.155 6.627
Li 4.144 4.070 0.112
Li 4.252 8.257 4.440
Li 6.211 1.983 6.587
Li 6.297 6.192 2.201
Ti 1.150 0.932 5.555
Ti 3.081 7.310 1.153
Ti 5.277 3.082 3.320
Ti 7.307 5.064 7.719
Mn 1.106 7.208 3.392
Mn 1.154 3.073 7.690
Mn 1.108 5.126 1.107
Mn 3.170 3.085 5.497
Mn 3.192 0.984 7.728
Mn 3.176 5.145 3.286
Mn 5.227 5.180 5.508
Mn 5.270 7.243 7.772
Mn 5.239 0.975 1.143
Mn 7.267 0.998 3.410
Mn 7.313 7.256 5.628
Mn 7.285 3.033 1.118
O 0.994 7.358 5.630
O 0.972 0.870 3.539
O 0.991 3.123 0.851
O 1.043 4.993 7.710
O 1.228 1.124 7.597
O 1.228 2.979 5.721
O 1.223 7.131 1.108
O 1.240 5.285 3.295
O 3.022 1.063 5.515
O 3.069 2.951 7.674
O 3.045 5.232 1.325
O 3.099 7.114 3.165
O 3.250 3.239 3.337
O 3.286 5.118 5.264
O 3.261 0.829 1.188
O 3.332 7.306 7.916
O 5.111 0.830 7.752
O 5.104 3.209 5.370
O 5.100 5.048 3.290
O 5.176 7.342 0.914
O 5.348 7.138 5.774
O 5.323 2.945 1.296
O 5.387 5.300 7.780
O 5.351 1.130 3.369
O 7.170 3.026 3.350
O 7.194 5.298 5.704
O 7.215 7.159 7.584
O 7.181 1.104 1.235
O 7.392 7.280 3.657
O 7.397 0.826 5.564
O 7.431 3.194 7.658
O 7.410 5.039 0.931
```

Summary:
Size of the total moment: 44.00 μB per cell
Space group: P1 (1)
E above lowest polymorph: 0 meV per atom
ΔH_f (0 K): -2.39 eV per atom

## Na8MgCr2O8 (GGA+U)

Data for Na8MgCr2O8 after structural relaxation.

The structure in extended XYZ format:
```
19
Lattice="5.567 0.000 0.000 2.013 5.700 0.000 0.362 2.768 8.642" Properties=species:S:1:pos:R:3 pbc="T T T"
Na 0.000 0.000 0.000
Na 0.792 2.600 1.783
Na 1.437 5.314 6.627
Na 1.827 5.442 3.190
Na 3.953 7.108 7.290
Na 4.370 5.387 4.797
Na 4.620 5.336 1.766
Na 3.582 2.644 3.194
Mg 3.894 3.293 6.462
Cr 0.943 2.754 4.668
Cr 3.467 2.041 0.212
O 1.542 1.322 3.606
O 2.569 3.782 5.051
O 2.859 3.685 1.009
O 2.743 3.344 8.135
O 4.734 4.990 7.126
O 4.477 1.219 1.576
O 5.606 3.989 3.546
O 7.388 7.671 6.215
```

Summary:
Size of the total moment: 6.00 μB per cell
Space group: P1 (1)
E above lowest polymorph: 0 meV per atom
ΔH_f (0 K): -1.80 eV per atom

## SrNi2P2O8 (GGA+U)

Data for SrNi2P2O8 after structural relaxation.

The structure in extended XYZ format:
```
26
Lattice="5.512 0.000 0.000 -0.972 6.819 0.000 -1.766 -3.648 8.328" Properties=species:S:1:pos:R:3 pbc="T T T"
Sr 0.346 -0.270 3.722
Sr 2.428 3.440 4.607
Ni -0.159 5.615 0.510
Ni 2.023 2.117 1.336
Ni 0.752 1.054 6.992
Ni 2.933 -2.445 7.819
P -0.413 2.955 2.147
P 0.462 -2.759 6.710
P 2.312 5.930 1.618
P 3.188 0.216 6.181
O 0.100 2.423 0.761
O -1.791 3.332 7.237
O -0.901 0.731 5.845
O -0.375 4.491 2.189
O 0.229 -2.252 5.293
O 0.664 2.359 3.119
O 2.044 0.098 1.640
O 1.864 4.822 0.586
O 0.911 -1.652 7.742
O 0.731 3.073 6.689
O 2.110 0.811 5.210
O 2.546 5.423 3.035
O 3.150 -1.320 6.139
O 3.675 2.440 2.483
O 4.565 -0.162 1.091
O 2.674 0.748 7.567
```

Summary:
Size of the total moment: 8.00 μB per cell
Space group: P-1 (2)
E above lowest polymorph: 0 meV per atom
ΔH_f (0 K): -2.53 eV per atom

## Ca2Nd2Nb3FeO14 (GGA+U)

Data for Ca2Nd2Nb3FeO14 after structural relaxation.

The structure in extended XYZ format:
```
44
Lattice="7.500 0.000 0.000 0.000 7.405 0.000 -7.393 0.000 10.551" Properties=species:S:1:pos:R:3 pbc="T T T"
Ca 0.000 0.000 0.000
Ca -3.697 0.000 5.276
Ca -1.848 1.796 2.638
Ca -5.545 5.609 7.913
Nd 0.000 3.703 0.000
Nd -3.697 3.703 5.276
Nd 1.902 1.795 2.638
Nd -1.795 5.610 7.913
Nb -5.545 1.939 7.913
Nb -1.848 5.466 2.638
Nb 3.750 0.000 0.000
Nb 0.054 0.000 5.276
Nb -1.795 1.947 7.913
Nb 1.902 5.459 2.638
Fe 3.750 3.703 0.000
Fe 0.054 3.703 5.276
O 0.011 1.830 1.333
O -3.686 5.576 6.608
O -5.185 3.319 9.246
O -1.488 4.086 3.971
O -3.671 1.888 7.127
O 0.026 5.517 1.852
O -5.111 0.410 9.206
O -1.414 6.995 3.930
O -1.452 3.354 6.606
O 2.244 4.051 1.330
O 0.088 1.837 4.509
O -3.609 5.568 9.784
O -1.397 0.393 6.642
O 2.299 7.012 1.366
O -2.192 0.393 9.185
O 1.504 7.012 3.909
O 3.716 1.837 0.767
O 0.019 5.568 6.043
O -2.137 3.354 9.221
O 1.559 4.051 3.945
O 1.522 0.410 6.621
O 5.218 6.995 1.345
O 0.081 1.888 8.699
O 3.778 5.517 3.424
O 1.595 3.319 6.581
O 5.292 4.086 1.305
O 3.793 1.830 3.943
O 0.096 5.576 9.218
```

Summary:
Size of the total moment: 10.00 μB per cell
Space group: P2/c (13)
E above lowest polymorph: 0 meV per atom
ΔH_f (0 K): -3.23 eV per atom